[1]
# VO2

A relaxed VO2 crystal (PBE with a Hubbard U, the Materials Project database).

```
18
Lattice="5.008 0.000 0.000 -1.863 4.659 0.000 -0.174 -0.285 9.160" Properties=species:S:1:pos:R:3 pbc="T T T"
V 0.000 0.000 0.000
V -0.578 1.883 2.354
V 1.922 0.246 2.317
V 1.398 2.242 4.579
V 0.918 4.121 6.889
V 3.359 2.396 6.947
O -0.981 3.486 1.472
O 0.490 0.796 3.560
O -0.695 3.959 8.047
O -0.014 2.629 6.049
O 0.885 1.360 1.124
O 0.520 3.343 3.464
O 2.307 1.042 6.002
O 1.959 2.991 8.144
O 2.819 1.716 3.395
O 3.563 0.401 1.421
O 2.336 3.564 5.706
O 3.821 0.838 7.969
```

***

[2]
# VO2

A relaxed VO2 crystal (PBE with a Hubbard U, the Materials Project database).

```
12
Lattice="4.130 -4.249 0.000 4.130 4.249 0.000 -4.127 0.000 4.214" Properties=species:S:1:pos:R:3 pbc="T T T"
V 0.000 0.000 0.000
V -2.063 0.000 2.107
V 2.065 2.124 0.000
V 0.002 -2.124 2.107
O -2.211 0.163 4.108
O 2.154 2.273 1.933
O -0.148 -0.163 2.001
O 4.043 2.273 0.175
O 0.090 -2.273 4.040
O 4.281 0.163 2.213
O 1.980 -2.273 2.282
O 6.344 -0.163 0.106
```

***

[3]
# VO2

A relaxed VO2 crystal (PBE with a Hubbard U, the Materials Project database).

```
6
Lattice="4.515 0.000 0.000 0.000 4.515 0.000 0.000 0.000 3.038" Properties=species:S:1:pos:R:3 pbc="T T T"
V 0.000 0.000 0.000
V 2.258 2.258 1.519
O 0.907 0.907 1.519
O 1.351 3.164 0.000
O 3.164 1.351 0.000
O 3.609 3.609 1.519
```

***

[4]
# V2O5

A relaxed V2O5 crystal (PBE with a Hubbard U, the Materials Project database).

```
28
Lattice="9.689 0.000 0.000 0.000 11.578 0.000 0.000 0.000 3.617" Properties=species:S:1:pos:R:3 pbc="T T T"
V 1.945 1.191 0.562
V 1.945 4.598 0.562
V 2.899 6.981 2.370
V 2.899 10.387 2.370
V 6.789 1.191 1.247
V 6.789 4.598 1.247
V 7.744 6.981 3.055
V 7.744 10.387 3.055
O 0.347 1.338 0.577
O 0.347 4.452 0.577
O 2.278 8.684 2.347
O 2.408 0.789 2.369
O 2.408 5.000 2.369
O 2.437 6.578 0.560
O 2.437 10.789 0.560
O 2.567 2.895 0.538
O 4.497 7.127 2.385
O 4.497 10.241 2.385
O 5.192 1.338 1.231
O 5.192 4.452 1.231
O 7.122 8.684 3.078
O 7.252 0.789 3.056
O 7.252 5.000 3.056
O 7.281 6.578 1.248
O 7.281 10.789 1.248
O 7.411 2.895 1.270
O 9.341 7.127 3.040
O 9.341 10.241 3.040
```

***

[5]
# V2O3

A relaxed V2O3 crystal (PBE with a Hubbard U, the Materials Project database).

```
10
Lattice="2.563 1.480 4.711 -2.563 1.480 4.711 0.000 -2.959 4.711" Properties=species:S:1:pos:R:3 pbc="T T T"
V 0.000 0.000 2.106
V 0.000 0.000 4.961
V 0.000 0.000 9.173
V 0.000 0.000 12.028
O -1.785 -0.133 5.889
O -0.778 -1.612 8.245
O 1.007 -1.480 5.889
O -1.007 1.480 8.245
O 0.778 1.612 5.889
O 1.785 0.133 8.245
```

***

[6]
# V2O5

A relaxed V2O5 crystal (PBE with a Hubbard U, the Materials Project database).

```
28
Lattice="10.230 0.000 0.000 0.000 5.360 0.000 -3.725 0.000 8.139" Properties=species:S:1:pos:R:3 pbc="T T T"
V 0.106 0.018 2.386
V -1.756 2.662 6.456
V 3.135 3.048 1.690
V 1.272 4.991 5.760
V 5.233 0.368 2.379
V 3.370 2.311 6.449
V 8.261 2.698 1.683
V 6.399 5.342 5.753
O -2.437 1.073 5.941
O -0.575 1.607 1.871
O -0.557 3.107 5.430
O 1.306 4.933 1.361
O -1.201 2.812 8.130
O 0.661 5.228 4.061
O 0.188 0.218 6.819
O 2.050 2.462 2.749
O 2.000 3.448 6.421
O 3.863 4.592 2.351
O 2.642 0.768 5.788
O 4.505 1.912 1.718
O 4.455 2.898 5.390
O 6.317 5.142 1.320
O 5.844 0.132 4.078
O 7.706 2.548 0.009
O 5.199 0.427 6.778
O 7.062 2.253 2.709
O 7.080 3.753 6.268
O 8.942 4.286 2.198
```

***

[7]
# V2O5

A relaxed V2O5 crystal (PBE with a Hubbard U, the Materials Project database).

```
105
Lattice="12.654 0.000 0.000 -0.501 12.775 0.000 -1.383 -0.897 12.864" Properties=species:S:1:pos:R:3 pbc="T T T"
V 0.000 0.000 0.000
V -1.174 3.864 9.791
V -0.965 8.708 11.524
V -0.005 9.232 3.314
V -0.412 7.933 8.073
V -0.048 11.044 8.566
V 0.837 6.264 2.906
V 0.087 1.763 12.471
V 0.699 3.051 7.373
V 1.565 1.013 4.636
V 2.705 3.722 2.735
V 2.338 0.098 11.696
V 3.293 -0.530 8.465
V 3.684 4.118 8.014
V 3.555 6.669 9.956
V 5.416 5.888 2.489
V 4.898 3.784 10.934
V 5.165 9.790 9.429
V 5.240 0.767 12.858
V 6.781 0.878 4.883
V 7.148 5.787 5.458
V 8.361 5.759 0.503
V 7.363 11.263 11.969
V 8.877 0.210 6.344
V 9.045 3.254 5.081
V 9.466 5.882 7.750
V 9.303 10.989 8.958
V 9.389 6.189 11.168
V 10.519 7.077 2.752
V 10.968 11.869 4.357
O -1.550 10.358 11.781
O 0.064 1.915 0.319
O -0.701 10.345 4.529
O -0.650 2.645 8.487
O -0.032 0.510 4.080
O -0.137 12.243 1.470
O -0.559 2.732 11.188
O -0.609 8.144 9.807
O -0.315 9.638 7.482
O -0.080 5.032 9.650
O 0.327 4.375 6.533
O 0.764 7.697 3.976
O 1.089 9.989 2.421
O 0.441 -0.091 12.017
O 0.271 8.397 12.501
O 1.225 1.778 6.224
O 1.599 6.662 1.546
O 0.988 7.239 7.692
O 1.966 3.635 1.184
O 0.757 10.586 9.921
O 1.738 4.851 3.669
O 1.112 12.110 7.718
O 2.452 -0.300 4.889
O 2.525 2.168 3.498
O 2.126 3.378 8.463
O 1.931 1.793 12.131
O 2.100 7.245 10.281
O 2.916 0.293 10.023
O 3.575 5.886 8.300
O 3.888 3.805 6.447
O 4.356 4.359 2.664
O 4.439 7.078 2.042
O 4.162 0.508 7.600
O 3.708 10.755 8.822
O 3.756 -0.306 12.740
O 3.755 5.147 11.051
O 5.317 0.444 4.328
O 4.691 8.030 9.926
O 4.966 3.444 9.191
O 4.788 2.264 11.858
O 6.081 6.392 4.090
O 6.635 5.670 1.178
O 6.771 2.111 1.532
O 6.356 4.651 6.288
O 5.881 10.647 10.737
O 6.243 9.684 8.229
O 6.337 4.463 11.447
O 7.055 0.763 6.623
O 6.730 -0.066 12.360
O 7.522 2.499 4.472
O 8.194 -0.259 4.699
O 8.484 10.930 0.109
O 8.390 4.967 4.548
O 8.134 6.621 6.810
O 9.054 4.327 0.691
O 8.982 6.742 1.919
O 8.055 5.996 12.239
O 8.401 12.148 7.917
O 8.438 10.854 10.466
O 8.927 6.467 9.483
O 9.475 1.838 6.335
O 9.627 4.511 6.536
O 9.448 9.518 8.285
O 10.210 3.041 3.997
O 9.976 11.729 3.097
O 9.494 -0.872 12.690
O 10.257 7.194 4.347
O 10.010 4.346 8.700
O 10.017 12.158 5.806
O 10.293 4.725 11.128
O 11.312 8.623 2.236
O 10.860 6.870 7.455
O 10.338 7.518 11.854
O 11.800 5.818 2.457
O 11.009 11.704 9.038
```

***

[8]
# V2O3

A relaxed V2O3 crystal (PBE with a Hubbard U, the Materials Project database).

```
40
Lattice="-4.787 4.787 4.787 4.787 -4.787 4.787 4.787 4.787 -4.787" Properties=species:S:1:pos:R:3 pbc="T T T"
V 2.394 2.394 -2.394
V 2.394 -2.394 2.394
V 7.181 0.306 0.000
V 4.787 -2.394 4.481
V 4.481 4.787 -2.394
V 4.481 0.000 2.394
V 4.787 2.394 0.306
V 2.394 4.481 0.000
V -2.394 2.394 2.394
V 2.394 2.394 2.394
V 2.394 0.306 4.787
V 0.000 2.394 4.481
V 0.306 4.787 2.394
V 0.306 0.000 7.181
V 0.000 7.181 0.306
V -2.394 4.481 4.787
O 1.490 1.135 -1.055
O 5.842 1.490 -1.135
O 1.135 -1.055 1.490
O 3.732 3.298 -1.135
O 3.298 1.135 1.055
O 5.922 -1.055 3.298
O 5.922 1.055 1.490
O 3.298 -1.135 3.732
O -1.055 1.490 1.135
O 1.135 1.055 3.298
O 1.055 3.298 1.135
O 1.490 -1.135 5.842
O 3.298 5.922 -1.055
O 3.732 1.490 3.652
O 3.652 3.732 1.490
O 5.842 3.298 3.652
O 1.490 5.922 1.055
O -1.135 3.732 3.298
O -1.135 5.842 1.490
O 1.490 3.652 3.732
O 1.055 1.490 5.922
O 3.652 5.842 3.298
O -1.055 3.298 5.922
O 3.298 3.652 5.842
```

***

[9]
# V2O5

A relaxed V2O5 crystal (PBE with a Hubbard U, the Materials Project database).

```
28
Lattice="10.177 0.000 0.000 0.000 3.619 0.000 0.000 0.000 10.334" Properties=species:S:1:pos:R:3 pbc="T T T"
V 0.732 0.905 1.054
V 1.270 2.714 5.323
V 3.819 0.905 0.156
V 4.357 2.714 6.221
V 5.820 0.905 4.113
V 6.358 2.714 10.178
V 8.908 0.905 5.011
V 9.445 2.714 9.280
O 0.002 0.905 2.486
O 10.175 2.714 7.848
O 0.655 2.714 0.421
O 0.709 0.905 5.546
O 2.119 2.714 3.962
O 2.497 0.905 1.411
O 2.591 2.714 6.578
O 2.969 0.905 9.129
O 4.380 2.714 0.379
O 4.434 0.905 5.588
O 5.091 0.905 2.681
O 5.086 2.714 7.652
O 5.743 2.714 4.746
O 5.797 0.905 9.955
O 7.208 2.714 1.205
O 7.586 0.905 3.756
O 7.680 2.714 8.923
O 8.058 0.905 6.372
O 9.469 2.714 4.788
O 9.523 0.905 9.913
```

***

[10]
# V2O5

A relaxed V2O5 crystal (PBE with a Hubbard U, the Materials Project database).

```
105
Lattice="11.149 0.000 0.000 1.684 11.935 0.000 1.191 0.068 12.950" Properties=species:S:1:pos:R:3 pbc="T T T"
V 0.000 0.000 0.000
V 1.077 0.849 9.777
V 0.941 3.099 1.084
V 2.630 11.298 6.497
V 2.849 5.793 11.860
V 2.885 5.941 2.911
V 3.247 4.106 6.060
V 3.579 2.150 8.704
V 4.210 8.329 2.637
V 5.219 9.217 5.350
V 6.317 9.234 12.397
V 5.007 2.272 3.884
V 7.046 11.434 9.837
V 6.270 4.863 11.178
V 6.058 4.589 8.306
V 6.171 2.639 0.673
V 8.111 10.490 6.987
V 7.540 7.624 3.369
V 7.448 4.564 5.124
V 9.418 7.388 12.746
V 9.248 3.805 9.729
V 8.856 2.860 0.265
V 10.773 8.705 10.091
V 11.034 11.236 4.392
V 10.854 7.947 3.598
V 11.291 8.766 6.822
V 10.473 4.671 3.094
V 12.489 8.812 12.810
V 11.543 1.448 4.346
V 12.521 6.338 5.804
O 1.924 4.532 12.594
O 2.383 7.430 12.776
O 0.968 2.119 2.905
O 1.177 0.110 8.169
O 2.086 7.648 6.526
O 2.273 6.020 10.367
O 1.835 4.908 6.879
O 3.372 11.872 11.215
O 2.148 2.373 9.718
O 1.694 0.633 5.169
O 3.038 11.678 0.826
O 2.725 7.566 1.997
O 2.825 5.463 4.760
O 2.295 2.425 0.516
O 4.033 10.256 6.359
O 3.746 9.288 3.997
O 3.105 2.496 7.080
O 3.350 4.730 1.940
O 3.563 3.064 4.578
O 4.602 5.299 11.746
O 5.236 8.245 11.710
O 4.055 0.461 8.974
O 4.713 9.289 1.230
O 4.576 6.647 3.194
O 4.671 4.662 6.764
O 5.144 7.799 6.096
O 4.888 3.193 9.050
O 6.463 10.752 11.371
O 5.654 5.844 9.342
O 5.068 0.774 4.464
O 6.112 8.679 3.638
O 5.160 2.187 2.074
O 6.773 9.989 5.894
O 6.482 3.312 12.215
O 7.520 10.138 8.644
O 7.291 5.890 11.891
O 6.349 3.287 4.530
O 7.860 8.472 12.444
O 6.561 0.520 10.154
O 7.333 4.094 9.762
O 7.170 6.167 4.383
O 6.596 0.158 6.958
O 7.357 4.663 6.874
O 7.521 7.338 1.704
O 7.271 3.856 1.095
O 7.467 1.501 0.311
O 8.958 8.473 3.872
O 9.441 11.454 4.505
O 9.752 7.553 10.934
O 10.037 10.139 9.977
O 9.711 9.598 6.802
O 8.936 4.138 4.504
O 9.964 5.877 12.937
O 9.417 2.802 8.450
O 9.586 8.459 0.238
O 9.948 3.371 11.582
O 10.013 5.191 9.343
O 9.879 6.299 3.106
O 9.813 3.619 1.859
O 11.152 8.078 8.452
O 10.856 7.084 5.952
O 9.847 0.885 3.310
O 10.701 1.234 10.106
O 11.362 9.409 4.678
O 11.239 8.541 2.120
O 11.753 11.520 2.681
O 10.504 0.115 5.589
O 12.300 8.968 11.056
O 11.172 2.971 5.286
O 10.598 1.727 0.317
O 12.419 10.041 7.113
O 11.838 10.402 0.197
O 11.420 4.223 4.716
O 12.320 6.931 3.948
O 12.032 4.844 2.309
```

***

Number 1: ΔE_f -2.413 eV/atom, calculated total energy -0.5670 Ry/atom. Number 2: ΔE_f -2.103 eV/atom, calculated total energy -0.5442 Ry/atom. Number 3: ΔE_f -2.480 eV/atom, calculated total energy -0.5720 Ry/atom. Number 4: ΔE_f -2.280 eV/atom, calculated total energy -0.5463 Ry/atom. Number 5: ΔE_f -2.526 eV/atom, calculated total energy -0.5906 Ry/atom. Number 6: ΔE_f -2.255 eV/atom, calculated total energy -0.5445 Ry/atom. Number 7: ΔE_f -2.184 eV/atom, calculated total energy -0.5393 Ry/atom. Number 8: ΔE_f -2.535 eV/atom, calculated total energy -0.5913 Ry/atom. Number 9: ΔE_f -2.276 eV/atom, calculated total energy -0.5460 Ry/atom. Number 10: ΔE_f -1.781 eV/atom, calculated total energy -0.5373 Ry/atom.